VASP calculation (meta-GGA r2SCAN) on a relaxed structure of Cs5FeO4.

Unit cell a=8.961 b=10.713 c=11.191 alpha=90.00 beta=97.70 gamma=90.00
Atoms (fractional coordinates):
Cs: 0.045 0.169 0.032
Cs: 0.045 0.331 0.532
Cs: 0.108 0.007 0.357
Cs: 0.108 0.493 0.857
Cs: 0.268 0.650 0.241
Cs: 0.268 0.850 0.741
Cs: 0.399 0.533 0.640
Cs: 0.399 0.967 0.140
Cs: 0.436 0.191 0.521
Cs: 0.436 0.309 0.021
Cs: 0.564 0.691 0.979
Cs: 0.564 0.809 0.479
Cs: 0.601 0.033 0.860
Cs: 0.601 0.467 0.360
Cs: 0.732 0.150 0.259
Cs: 0.732 0.350 0.759
Cs: 0.892 0.507 0.143
Cs: 0.892 0.993 0.643
Cs: 0.955 0.669 0.468
Cs: 0.955 0.831 0.968
Fe: 0.220 0.168 0.767
Fe: 0.220 0.332 0.267
Fe: 0.780 0.668 0.733
Fe: 0.780 0.832 0.233
O: 0.026 0.232 0.783
O: 0.026 0.268 0.283
O: 0.204 0.073 0.621
O: 0.204 0.427 0.121
O: 0.289 0.063 0.903
O: 0.289 0.437 0.403
O: 0.360 0.201 0.254
O: 0.360 0.299 0.754
O: 0.640 0.701 0.246
O: 0.640 0.799 0.746
O: 0.711 0.563 0.597
O: 0.711 0.937 0.097
O: 0.796 0.573 0.879
O: 0.796 0.927 0.379
O: 0.974 0.732 0.717
O: 0.974 0.768 0.217

Electronic total energy: -712.732 eV/cell
Mass density: 4.9 Mg/m³
E_form: -1.43 eV per atom

***

VASP calculation (meta-GGA r2SCAN) on a relaxed structure of CsI.

Unit cell a=5.523 b=5.523 c=5.523 alpha=60.00 beta=60.00 gamma=60.00
Atoms (fractional coordinates):
Cs: 0.000 0.000 0.000
I: 0.500 0.500 0.500

Electronic total energy: -53.206 eV/cell
Mass density: 3.6 Mg/m³
E_form: -1.77 eV per atom

***

VASP calculation (meta-GGA r2SCAN) on a relaxed structure of B5Ir3W2.

Unit cell a=8.335 b=8.335 c=8.335 alpha=160.07 beta=38.69 gamma=147.18
Atoms (fractional coordinates):
B: 0.000 0.000 0.000
B: 0.134 0.855 0.279
B: 0.176 0.455 0.722
B: 0.576 0.855 0.721
B: 0.733 0.455 0.278
Ir: 0.060 0.655 0.405
Ir: 0.250 0.655 0.595
Ir: 0.657 0.157 0.500
W: 0.503 0.655 0.848
W: 0.807 0.655 0.152

Electronic total energy: -300.282 eV/cell
Mass density: 15.5 Mg/m³
E_form: -0.37 eV per atom

***

VASP calculation (meta-GGA r2SCAN) on a relaxed structure of PrPd3S4.

Unit cell a=6.751 b=6.751 c=6.751 alpha=90.00 beta=90.00 gamma=90.00
Atoms (fractional coordinates):
Pr: 0.000 0.000 0.000
Pr: 0.500 0.500 0.500
Pd: 0.000 0.250 0.500
Pd: 0.000 0.750 0.500
Pd: 0.250 0.500 0.000
Pd: 0.500 0.000 0.250
Pd: 0.500 0.000 0.750
Pd: 0.750 0.500 0.000
S: 0.250 0.250 0.250
S: 0.250 0.250 0.750
S: 0.250 0.750 0.250
S: 0.250 0.750 0.750
S: 0.750 0.250 0.250
S: 0.750 0.250 0.750
S: 0.750 0.750 0.250
S: 0.750 0.750 0.750

Electronic total energy: -277.741 eV/cell
Mass density: 6.4 Mg/m³
E_form: -1.06 eV per atom

***

VASP calculation (meta-GGA r2SCAN) on a relaxed structure of AgTeO3.

Unit cell a=6.519 b=6.924 c=13.296 alpha=90.00 beta=91.00 gamma=90.00
Atoms (fractional coordinates):
Ag: 0.018 0.171 0.427
Ag: 0.018 0.329 0.927
Ag: 0.029 0.547 0.310
Ag: 0.029 0.953 0.810
Ag: 0.971 0.047 0.190
Ag: 0.971 0.453 0.690
Ag: 0.982 0.671 0.073
Ag: 0.982 0.829 0.573
Te: 0.366 0.157 0.643
Te: 0.366 0.343 0.143
Te: 0.494 0.637 0.590
Te: 0.494 0.863 0.090
Te: 0.506 0.137 0.910
Te: 0.506 0.363 0.410
Te: 0.634 0.657 0.857
Te: 0.634 0.843 0.357
O: 0.082 0.148 0.640
O: 0.082 0.352 0.140
O: 0.309 0.154 0.804
O: 0.309 0.346 0.304
O: 0.309 0.670 0.130
O: 0.309 0.830 0.630
O: 0.334 0.053 0.161
O: 0.334 0.447 0.661
O: 0.340 0.183 0.486
O: 0.340 0.317 0.986
O: 0.340 0.581 0.464
O: 0.340 0.919 0.964
O: 0.660 0.081 0.036
O: 0.660 0.419 0.536
O: 0.660 0.683 0.014
O: 0.660 0.817 0.514
O: 0.666 0.553 0.339
O: 0.666 0.947 0.839
O: 0.691 0.170 0.370
O: 0.691 0.330 0.870
O: 0.691 0.654 0.696
O: 0.691 0.846 0.196
O: 0.918 0.648 0.860
O: 0.918 0.852 0.360

Electronic total energy: -551.278 eV/cell
Mass density: 6.3 Mg/m³
E_form: -0.84 eV per atom

***

VASP calculation (meta-GGA r2SCAN) on a relaxed structure of CsI3.

Unit cell a=11.117 b=7.012 c=10.333 alpha=90.00 beta=90.00 gamma=90.00
Atoms (fractional coordinates):
Cs: 0.177 0.250 0.032
Cs: 0.323 0.750 0.532
Cs: 0.677 0.250 0.468
Cs: 0.823 0.750 0.968
I: 0.067 0.750 0.261
I: 0.127 0.250 0.553
I: 0.166 0.750 0.864
I: 0.334 0.250 0.364
I: 0.373 0.750 0.053
I: 0.433 0.250 0.761
I: 0.567 0.750 0.239
I: 0.627 0.250 0.947
I: 0.666 0.750 0.636
I: 0.834 0.250 0.136
I: 0.873 0.750 0.447
I: 0.933 0.250 0.739

Electronic total energy: -410.362 eV/cell
Mass density: 4.2 Mg/m³
E_form: -0.95 eV per atom

***

VASP calculation (meta-GGA r2SCAN) on a relaxed structure of Mg2P2O7.

Unit cell a=5.244 b=5.244 c=4.498 alpha=98.26 beta=98.26 gamma=104.23
Atoms (fractional coordinates):
Mg: 0.188 0.812 0.000
Mg: 0.812 0.188 0.000
P: 0.280 0.280 0.593
P: 0.720 0.720 0.407
O: 0.119 0.119 0.287
O: 0.121 0.426 0.780
O: 0.426 0.121 0.780
O: 0.500 0.500 0.500
O: 0.574 0.879 0.220
O: 0.879 0.574 0.220
O: 0.881 0.881 0.713

Polymorph energy (0 for the lowest one): 2.7 meV per atom
Electronic total energy: -98.964 eV/cell
Mass density: 3.2 Mg/m³
E_form: -2.80 eV per atom

***

VASP calculation (meta-GGA r2SCAN) on a relaxed structure of LiVN2.

Unit cell a=5.430 b=6.592 c=5.022 alpha=90.00 beta=90.00 gamma=90.00
Atoms (fractional coordinates):
Li: 0.084 0.122 0.000
Li: 0.416 0.622 0.500
Li: 0.584 0.378 0.000
Li: 0.916 0.878 0.500
V: 0.075 0.625 0.012
V: 0.425 0.125 0.512
V: 0.575 0.875 0.012
V: 0.925 0.375 0.512
N: 0.055 0.601 0.367
N: 0.104 0.153 0.422
N: 0.396 0.653 0.922
N: 0.445 0.101 0.867
N: 0.555 0.899 0.367
N: 0.604 0.347 0.422
N: 0.896 0.847 0.922
N: 0.945 0.399 0.867

Electronic total energy: -155.351 eV/cell
Mass density: 3.2 Mg/m³
E_form: -1.03 eV per atom